No. 1
VASP calculation (GGA+U) on Co5Te3O16 after structural relaxation.

Output
As for the corrected total energy (MP2020 scheme): -305.4 eV per cell.

abc: 10.301 5.976 8.955
angles: 90.00 90.89 90.00
Space group Cm (No. 8)
One atom of each set of equivalent atoms:
Co (0.000, 0.000, 0.000) x2
Co (0.018, 0.500, 0.769) x2
Co (0.085, 0.254, 0.511) x4
Co (0.353, 0.500, 0.303) x2
Te (0.251, 0.253, 0.007) x4
Te (0.334, 0.000, 0.508) x2
O (0.003, 0.500, 0.400) x2
O (0.007, 0.000, 0.407) x2
O (0.092, 0.253, 0.894) x4
O (0.148, 0.500, 0.628) x2
O (0.168, 0.000, 0.615) x2
O (0.175, 0.000, 0.121) x2
O (0.182, 0.500, 0.135) x2
O (0.250, 0.246, 0.402) x4
O (0.323, 0.500, 0.881) x2
O (0.334, 0.000, 0.892) x2
O (0.402, 0.275, 0.130) x4
O (0.438, 0.213, 0.640) x4

***

No. 2
VASP calculation (GGA+U) on Li3V2P4H2O16 after structural relaxation.

Output
As for the corrected total energy (MP2020 scheme): -599.7 eV per cell. The value obtained for the energy above the most stable polymorph in this dataset is 0.0649 eV per atom.

abc: 7.887 8.096 13.782
angles: 89.71 79.79 89.90
Space group P1 (No. 1)
One atom of each set of equivalent atoms:
Li (0.000, 0.000, 0.000) x1
Li (0.049, 0.265, 0.637) x1
Li (0.163, 0.767, 0.339) x1
Li (0.221, 0.502, 0.973) x1
Li (0.330, 0.000, 0.669) x1
Li (0.656, 0.002, 0.335) x1
Li (0.718, 0.267, 0.969) x1
Li (0.819, 0.765, 0.673) x1
Li (0.879, 0.500, 0.308) x1
V (0.034, 0.136, 0.322) x1
V (0.192, 0.630, 0.653) x1
V (0.359, 0.129, 0.988) x1
V (0.520, 0.628, 0.319) x1
V (0.689, 0.137, 0.655) x1
V (0.845, 0.636, 0.987) x1
P (0.081, 0.980, 0.533) x1
P (0.129, 0.479, 0.444) x1
P (0.238, 0.783, 0.865) x1
P (0.300, 0.290, 0.777) x1
P (0.410, 0.983, 0.200) x1
P (0.467, 0.482, 0.108) x1
P (0.571, 0.785, 0.533) x1
P (0.644, 0.284, 0.442) x1
P (0.749, 0.980, 0.865) x1
P (0.803, 0.485, 0.775) x1
P (0.911, 0.789, 0.197) x1
P (0.968, 0.289, 0.111) x1
H (0.037, 0.142, 0.815) x1
H (0.180, 0.643, 0.158) x1
H (0.385, 0.143, 0.477) x1
H (0.504, 0.643, 0.827) x1
H (0.698, 0.143, 0.150) x1
H (0.831, 0.638, 0.495) x1
O (0.071, 0.807, 0.584) x1
O (0.073, 0.959, 0.421) x1
O (0.078, 0.695, 0.215) x1
O (0.080, 0.678, 0.916) x1
O (0.119, 0.179, 0.061) x1
O (0.126, 0.305, 0.398) x1
O (0.137, 0.192, 0.757) x1
O (0.140, 0.459, 0.556) x1
O (0.233, 0.804, 0.753) x1
O (0.233, 0.950, 0.916) x1
O (0.242, 0.085, 0.249) x1
O (0.243, 0.072, 0.551) x1
O (0.285, 0.583, 0.394) x1
O (0.293, 0.460, 0.727) x1
O (0.302, 0.308, 0.888) x1
O (0.304, 0.571, 0.092) x1
O (0.395, 0.817, 0.257) x1
O (0.395, 0.967, 0.091) x1
O (0.397, 0.680, 0.882) x1
O (0.407, 0.683, 0.578) x1
O (0.452, 0.182, 0.727) x1
O (0.481, 0.466, 0.217) x1
O (0.484, 0.317, 0.052) x1
O (0.485, 0.180, 0.422) x1
O (0.563, 0.948, 0.589) x1
O (0.573, 0.804, 0.421) x1
O (0.574, 0.071, 0.216) x1
O (0.593, 0.085, 0.914) x1
O (0.636, 0.584, 0.059) x1
O (0.649, 0.300, 0.551) x1
O (0.649, 0.450, 0.388) x1
O (0.649, 0.589, 0.760) x1
O (0.737, 0.694, 0.551) x1
O (0.742, 0.961, 0.754) x1
O (0.753, 0.807, 0.913) x1
O (0.760, 0.680, 0.246) x1
O (0.801, 0.176, 0.390) x1
O (0.801, 0.195, 0.093) x1
O (0.815, 0.316, 0.725) x1
O (0.816, 0.463, 0.887) x1
O (0.907, 0.811, 0.086) x1
O (0.908, 0.957, 0.251) x1
O (0.910, 0.076, 0.884) x1
O (0.925, 0.086, 0.581) x1
O (0.968, 0.575, 0.426) x1
O (0.968, 0.588, 0.726) x1
O (0.971, 0.457, 0.057) x1
O (0.974, 0.310, 0.222) x1

***

No. 3
VASP calculation (GGA+U) on V2NiP3O12 after structural relaxation.

Output
As for the corrected total energy (MP2020 scheme): -867.1 eV per cell.

abc: 8.6151 8.6151 20.5836
angles: 90.00 90.00 120.00
Space group R-3c (No. 167, hexagonal axes)
One atom of each set of equivalent atoms:
V (0.0000, 0.0000, 0.1420) x12
Ni (0.0000, 0.0000, 0.0000) x6
P (0.0000, 0.2937, 0.2500) x18
O (0.0044, 0.1969, 0.3116) x36
O (0.0166, 0.1822, 0.9244) x36

***

No. 4
VASP calculation (GGA+U) on MgCrF6 after structural relaxation.

Output
As for the corrected total energy (MP2020 scheme): -46.9 eV per cell.

abc: 5.161 5.167 5.644
angles: 62.99 63.58 60.35
Space group P1 (No. 1)
One atom of each set of equivalent atoms:
Mg (0.000, 0.000, 0.000) x1
Cr (0.797, 0.812, 0.573) x1
F (0.005, 0.775, 0.794) x1
F (0.156, 0.625, 0.323) x1
F (0.414, 0.022, 0.795) x1
F (0.603, 0.894, 0.328) x1
F (0.765, 0.425, 0.797) x1
F (0.878, 0.170, 0.329) x1

***

No. 5
VASP calculation (GGA+U) on MgMn5Cr2O12 after structural relaxation.

Output
As for the corrected total energy (MP2020 scheme): -166.9 eV per cell. The value obtained for the energy above the most stable polymorph in this dataset is 0.0416 eV per atom.

abc: 5.200 5.205 9.862
angles: 77.32 84.68 60.59
Space group P1 (No. 1)
One atom of each set of equivalent atoms:
Mg (0.000, 0.000, 0.000) x1
Mn (0.310, 0.587, 0.272) x1
Mn (0.311, 0.112, 0.754) x1
Mn (0.690, 0.676, 0.994) x1
Mn (0.713, 0.116, 0.533) x1
Mn (0.998, 0.245, 0.263) x1
Cr (0.647, 0.920, 0.265) x1
Cr (0.658, 0.439, 0.753) x1
O (0.312, 0.942, 0.158) x1
O (0.327, 0.216, 0.361) x1
O (0.365, 0.740, 0.886) x1
O (0.399, 0.399, 0.634) x1
O (0.592, 0.838, 0.645) x1
O (0.636, 0.060, 0.888) x1
O (0.666, 0.514, 0.367) x1
O (0.701, 0.294, 0.137) x1
O (0.946, 0.887, 0.385) x1
O (0.960, 0.670, 0.140) x1
O (0.981, 0.171, 0.654) x1
O (0.986, 0.363, 0.873) x1

***

No. 6
VASP calculation (GGA+U) on BaNaTbWO6 after structural relaxation.

Output
As for the corrected total energy (MP2020 scheme): -318.9 eV per cell.

abc: 8.440 8.440 8.440
angles: 90.00 90.00 90.00
Space group F-43m (No. 216)
One atom of each set of equivalent atoms:
Ba (0.000, 0.000, 0.000) x4
Na (0.000, 0.000, 0.500) x4
Tb (0.250, 0.250, 0.750) x4
W (0.250, 0.250, 0.250) x4
O (0.018, 0.250, 0.250) x24

***

No. 7
VASP calculation (GGA+U) on SrV4O10 after structural relaxation.

Output
As for the corrected total energy (MP2020 scheme): -253.0 eV per cell. The value obtained for the energy above the most stable polymorph in this dataset is 0.0000 eV per atom.

abc: 6.269 7.468 9.062
angles: 89.96 87.92 72.55
Space group P-1 (No. 2)
One atom of each set of equivalent atoms:
Sr (0.182, 0.207, 0.013) x2
V (0.121, 0.965, 0.661) x2
V (0.137, 0.471, 0.660) x2
V (0.457, 0.381, 0.340) x2
V (0.473, 0.887, 0.335) x2
O (0.079, 0.496, 0.845) x2
O (0.087, 0.961, 0.846) x2
O (0.155, 0.966, 0.397) x2
O (0.174, 0.452, 0.411) x2
O (0.200, 0.192, 0.650) x2
O (0.207, 0.705, 0.629) x2
O (0.432, 0.365, 0.161) x2
O (0.446, 0.918, 0.151) x2
O (0.470, 0.878, 0.604) x2
O (0.472, 0.388, 0.634) x2

***

No. 8
VASP calculation (GGA+U) on NaNdFeWO6 after structural relaxation.

Output
As for the corrected total energy (MP2020 scheme): -165.4 eV per cell.

abc: 5.556 5.602 8.112
angles: 90.00 90.31 90.00
Space group P2_1 (No. 4)
One atom of each set of equivalent atoms:
Na (0.245, 0.000, 0.498) x2
Nd (0.260, 0.070, 0.001) x2
Fe (0.251, 0.525, 0.259) x2
W (0.243, 0.520, 0.738) x2
O (0.039, 0.209, 0.278) x2
O (0.067, 0.227, 0.717) x2
O (0.161, 0.495, 0.988) x2
O (0.331, 0.546, 0.517) x2
O (0.451, 0.792, 0.810) x2
O (0.476, 0.815, 0.192) x2

***

No. 9
VASP calculation (GGA+U) on Mn6O5F7 after structural relaxation.

Output
As for the corrected total energy (MP2020 scheme): -272.7 eV per cell. The value obtained for the energy above the most stable polymorph in this dataset is 0.0376 eV per atom.

abc: 5.116 5.696 14.684
angles: 90.61 91.62 90.07
Space group P1 (No. 1)
One atom of each set of equivalent atoms:
Mn (0.000, 0.000, 0.000) x1
Mn (0.001, 0.308, 0.180) x1
Mn (0.050, 0.301, 0.507) x1
Mn (0.053, 0.897, 0.342) x1
Mn (0.085, 0.305, 0.839) x1
Mn (0.089, 0.844, 0.666) x1
Mn (0.522, 0.911, 0.176) x1
Mn (0.545, 0.500, 0.688) x1
Mn (0.547, 0.008, 0.503) x1
Mn (0.548, 0.454, 0.995) x1
Mn (0.552, 0.565, 0.346) x1
Mn (0.555, 0.989, 0.836) x1
O (0.221, 0.028, 0.240) x1
O (0.236, 0.059, 0.570) x1
O (0.253, 0.066, 0.910) x1
O (0.367, 0.810, 0.410) x1
O (0.395, 0.775, 0.749) x1
O (0.397, 0.269, 0.767) x1
O (0.728, 0.802, 0.278) x1
O (0.779, 0.215, 0.919) x1
O (0.795, 0.091, 0.108) x1
O (0.866, 0.058, 0.438) x1
F (0.215, 0.533, 0.252) x1
F (0.216, 0.541, 0.590) x1
F (0.218, 0.560, 0.926) x1
F (0.255, 0.313, 0.083) x1
F (0.282, 0.836, 0.072) x1
F (0.385, 0.320, 0.421) x1
F (0.705, 0.262, 0.592) x1
F (0.716, 0.757, 0.929) x1
F (0.721, 0.759, 0.602) x1
F (0.725, 0.315, 0.273) x1
F (0.742, 0.583, 0.112) x1
F (0.877, 0.013, 0.761) x1
F (0.886, 0.551, 0.434) x1
F (0.914, 0.518, 0.752) x1

***

No. 10
VASP calculation (GGA+U) on GaFeO3 after structural relaxation.

Output
As for the corrected total energy (MP2020 scheme): -31.4 eV per cell.

abc: 3.811 3.811 3.811
angles: 90.00 90.00 90.00
Space group Pm-3m (No. 221)
One atom of each set of equivalent atoms:
Ga (0.000, 0.000, 0.000) x1
Fe (0.500, 0.500, 0.500) x1
O (0.000, 0.500, 0.500) x3

***

No. 11
VASP calculation (GGA+U) on LiFe2S3O12 after structural relaxation.

Output
As for the corrected total energy (MP2020 scheme): -500.9 eV per cell. The value obtained for the energy above the most stable polymorph in this dataset is 0.0000 eV per atom.

abc: 8.530 8.817 14.692
angles: 90.00 124.43 90.00
Space group P2_1/c (No. 14)
One atom of each set of equivalent atoms:
Li (0.013, 0.221, 0.320) x4
Fe (0.146, 0.537, 0.392) x4
Fe (0.370, 0.534, 0.116) x4
S (0.037, 0.108, 0.645) x4
S (0.257, 0.621, 0.653) x4
S (0.454, 0.246, 0.493) x4
O (0.022, 0.245, 0.187) x4
O (0.084, 0.514, 0.228) x4
O (0.115, 0.591, 0.679) x4
O (0.149, 0.568, 0.957) x4
O (0.179, 0.583, 0.538) x4
O (0.187, 0.115, 0.623) x4
O (0.258, 0.191, 0.936) x4
O (0.300, 0.712, 0.173) x4
O (0.404, 0.638, 0.441) x4
O (0.430, 0.528, 0.726) x4
O (0.473, 0.185, 0.404) x4
O (0.475, 0.122, 0.567) x4